#A
Density functional theory data (GGA+U) for Li3CrO4 after structural relaxation.

Unit cell a=4.9927 b=5.1313 c=5.8072 alpha=90.02 beta=90.03 gamma=110.51
Element x y z (fractional)
O 0.9814 0.7825 0.8894
Li 0.7477 0.5134 0.6179
Cr 0.7683 0.0104 0.8471
Li 0.2578 0.4993 0.8773
O 0.5220 0.7613 0.6488
O 0.4697 0.2417 0.3550
Cr 0.2684 0.0099 0.1531
O 0.9981 0.2104 0.1080
Li 0.7576 0.4998 0.1224
Li 0.2557 0.9825 0.6290
O 0.9695 0.2415 0.6449
O 0.4982 0.2102 0.8924
O 0.4811 0.7819 0.1110
Li 0.2464 0.5122 0.3810
Li 0.7557 0.9817 0.3711
O 0.0223 0.7616 0.3516

Summary:
**M_tot**: 1.00 μB per formula unit


#B
Density functional theory data (GGA+U) for Li3CrO4 after structural relaxation.

Unit cell a=5.0355 b=5.0355 c=6.2172 alpha=90.00 beta=90.00 gamma=105.80
Element x y z (fractional)
Li 0.7422 0.7412 0.7511
O 0.5254 0.0241 0.2359
Li 0.2578 0.2588 0.2511
O 0.4746 0.9759 0.7359
Li 0.2275 0.7725 0.0136
Li 0.2588 0.2578 0.7511
O 0.0241 0.5254 0.7359
Li 0.7725 0.2275 0.5136
O 0.9603 0.0397 0.9752
O 0.0397 0.9603 0.4752
O 0.5455 0.4545 0.9767
Li 0.7412 0.7422 0.2511
O 0.4545 0.5455 0.4767
O 0.9759 0.4746 0.2359
Cr 0.7524 0.2476 0.0590
Cr 0.2476 0.7524 0.5590

Summary:
**M_tot**: 1.00 μB per formula unit
**Piezoelectric modulus e_max**: 2.8 C/m²


Relative energies, in eV/atom, with the most stable structure set to zero: #A 0.000; #B 0.018.


#A
Density functional theory data (GGA+U) for Li3CrO4 after structural relaxation.

Unit cell a=5.7967 b=5.7967 c=8.2326 alpha=90.00 beta=90.00 gamma=90.00
Element x y z (fractional)
O 0.9789 0.2715 0.2566
O 0.7301 0.4915 0.0205
Cr 0.7758 0.5000 0.2500
O 0.7285 0.9789 0.5066
O 0.2715 0.9789 0.4934
O 0.0211 0.7285 0.7566
Li 0.7502 0.0000 0.7500
Li 0.0000 0.2498 0.5000
O 0.4915 0.2699 0.7705
O 0.2699 0.4915 0.9795
O 0.5085 0.7301 0.2705
Li 0.2538 0.5000 0.2500
O 0.0211 0.2715 0.7434
Li 0.5000 0.7462 0.0000
Li 0.0000 0.7502 0.0000
O 0.9789 0.7285 0.2434
Li 0.5000 0.2538 0.5000
Li 0.7462 0.5000 0.7500
Cr 0.5000 0.7758 0.5000
O 0.4915 0.7301 0.7295
O 0.7301 0.5085 0.4795
Li 0.0000 0.2496 0.0000
Li 0.7504 0.0000 0.2500
Li 0.2498 0.0000 0.2500
Cr 0.5000 0.2242 0.0000
O 0.2699 0.5085 0.5205
O 0.2715 0.0211 0.0066
O 0.5085 0.2699 0.2295
Li 0.2496 0.0000 0.7500
Cr 0.2242 0.5000 0.7500
Li 0.0000 0.7504 0.5000
O 0.7285 0.0211 0.9934

Summary:
**M_tot**: 1.00 μB per formula unit
**Piezoelectric modulus e_max**: 0.3 C/m²


#B
Density functional theory data (GGA+U) for Li3CrO4 after structural relaxation.

Unit cell a=5.7611 b=9.9085 c=5.7611 alpha=105.39 beta=61.46 gamma=105.39
Element x y z (fractional)
O 0.3886 0.1114 0.8886
Cr 0.7498 0.2497 0.2498
O 0.3614 0.6385 0.8614
Cr 0.2498 0.7497 0.7497
O 0.6017 0.8750 0.6483
O 0.8533 0.1251 0.8965
O 0.6118 0.8891 0.1118
Li 0.0005 0.9999 0.9996
O 0.8613 0.1386 0.3613
Li 0.2495 0.2501 0.2505
Cr 0.0003 0.5004 0.5003
Li 0.4996 0.9999 0.5005
O 0.1483 0.8750 0.1017
O 0.3534 0.6249 0.3967
O 0.1017 0.3750 0.1482
O 0.8887 0.6114 0.3887
O 0.1382 0.8608 0.6382
O 0.6482 0.3750 0.6018
Cr 0.5005 0.0006 0.0006
O 0.1118 0.3891 0.6118
Li 0.7505 0.2501 0.7495
Li 0.9998 0.4999 0.0001
O 0.8967 0.6249 0.8534
Li 0.5001 0.5002 0.0002
Li 0.7498 0.7498 0.2498
O 0.6381 0.3609 0.1381
Li 0.2498 0.2498 0.7497
Li 0.0001 0.0002 0.5001
O 0.3965 0.1251 0.3533
Li 0.2506 0.7500 0.2493
Li 0.7493 0.7500 0.7506
Li 0.5001 0.4999 0.4998

Summary:
**M_tot**: 0.00 μB per formula unit


#C
Density functional theory data (GGA+U) for Li3CrO4 after structural relaxation.

Unit cell a=5.7877 b=5.8054 c=12.6194 alpha=77.47 beta=90.00 gamma=90.00
Element x y z (fractional)
Li 0.7230 0.6651 0.1695
Li 0.2163 0.0000 0.5000
O 0.4488 0.1021 0.8388
O 0.2215 0.4255 0.6812
Li 0.4701 0.5000 0.0000
O 0.9899 0.8972 0.1711
O 0.9920 0.5652 0.8466
O 0.2108 0.7226 0.0132
O 0.2342 0.8973 0.6621
Li 0.2229 0.1759 0.1583
O 0.2215 0.5745 0.3188
O 0.6941 0.1051 0.3287
Li 0.4981 0.0000 0.0000
O 0.7422 0.7313 0.9952
O 0.4613 0.4269 0.1806
O 0.4613 0.5731 0.8194
Cr 0.4587 0.3057 0.3315
Cr 0.2230 0.3041 0.8323
O 0.6887 0.4354 0.6533
Li 0.9591 0.3379 0.3322
Li 0.7127 0.0000 0.5000
O 0.4488 0.8979 0.1612
Li 0.7230 0.3349 0.8305
Li 0.2229 0.8241 0.8417
O 0.9899 0.1028 0.8289
O 0.4705 0.7249 0.5131
O 0.6941 0.8949 0.6713
Li 0.9627 0.8458 0.3337
Cr 0.2230 0.6959 0.1677
Cr 0.7356 0.5000 0.5000
O 0.2342 0.1027 0.3379
O 0.9402 0.2702 0.5047
Cr 0.4587 0.6943 0.6685
O 0.2108 0.2774 0.9868
Li 0.2126 0.5000 0.5000
Li 0.4666 0.1722 0.6622
Li 0.9591 0.6621 0.6678
Li 0.7346 0.1651 0.1679
Li 0.4666 0.8278 0.3378
Cr 0.9458 0.5000 0.0000
O 0.4705 0.2751 0.4869
O 0.7422 0.2687 0.0048
Li 0.9627 0.1542 0.6663
O 0.6887 0.5646 0.3467
Li 0.9771 0.0000 0.0000
O 0.9402 0.7298 0.4953
O 0.9920 0.4348 0.1534
Li 0.7346 0.8349 0.8321

Summary:
**M_tot**: 1.00 μB per formula unit


#D
Density functional theory data (GGA+U) for Li3CrO4 after structural relaxation.

Unit cell a=7.9142 b=5.4365 c=5.1509 alpha=64.24 beta=110.03 gamma=99.27
Element x y z (fractional)
Li 0.1955 0.2963 0.4173
O 0.6338 0.5189 0.8318
O 0.3628 0.5666 0.2015
Cr 0.2284 0.7142 0.8170
Li 0.4583 0.7933 0.4383
O 0.7659 0.3766 0.4518
O 0.3754 0.9641 0.6417
O 0.0484 0.8787 0.7723
O 0.9636 0.2754 0.1187
O 0.6646 0.9560 0.2617
Li 0.5351 0.2975 0.5648
Li 0.9949 0.2004 0.8016
Li 0.5785 0.7243 0.0438
O 0.1832 0.4743 0.6767
Cr 0.7635 0.2763 0.1734
Li 0.8271 0.6745 0.6214

Summary:
**M_tot**: 1.00 μB per formula unit


Relative energies, in eV/atom, with the most stable structure set to zero: #A 0.031; #B 0.026; #C 0.016; #D 0.000.